[1]
DFT (GGA-PBE) results for an optimized crystal structure of LiSbS.

Cell: 6.220 6.239 7.299 Å, 90.00 90.00 90.00°
Atoms (fractional coordinates):
S 0.597 0.497 0.848
S 0.097 0.503 0.152
S 0.597 0.997 0.152
Sb 0.556 0.492 0.514
Li 0.849 0.749 0.996
Sb 0.056 0.008 0.514
Sb 0.056 0.508 0.486
Sb 0.556 0.992 0.486
S 0.097 0.003 0.848
Li 0.849 0.249 0.004
Li 0.349 0.251 0.004
Li 0.349 0.751 0.996

distance to the lowest polymorph of the same formula = 15 meV/atom
crystal system = orthorhombic
E (MP2020) = -4.2659 eV per atom
calculated volume = 23.61 A^3/atom


[2]
DFT (GGA-PBE) results for an optimized crystal structure of LiSbS2.

Cell: 5.585 5.585 6.767 Å, 65.65 65.65 89.89°
Atoms (fractional coordinates):
S 0.841 0.637 0.245
Sb 0.390 0.610 0.250
Li 0.870 0.130 0.250
S 0.363 0.159 0.255
Sb 0.610 0.390 0.750
S 0.637 0.841 0.745
Li 0.130 0.870 0.750
S 0.159 0.363 0.755

crystal system = monoclinic
E (MP2020) = -4.4996 eV per atom
calculated volume = 21.45 A^3/atom


Question: What is the formula in the second record?
Answer: LiSbS2


Please write out number 2 again, unchanged.
DFT (GGA-PBE) results for an optimized crystal structure of LiSbS2.

Cell: 5.585 5.585 6.767 Å, 65.65 65.65 89.89°
Atoms (fractional coordinates):
S 0.841 0.637 0.245
Sb 0.390 0.610 0.250
Li 0.870 0.130 0.250
S 0.363 0.159 0.255
Sb 0.610 0.390 0.750
S 0.637 0.841 0.745
Li 0.130 0.870 0.750
S 0.159 0.363 0.755

crystal system = monoclinic
E (MP2020) = -4.4996 eV per atom
calculated volume = 21.45 A^3/atom


Question: The highest calculated volume belongs to which entry?
Answer: LiSbS


Please write out number 1 again, unchanged.
DFT (GGA-PBE) results for an optimized crystal structure of LiSbS.

Cell: 6.220 6.239 7.299 Å, 90.00 90.00 90.00°
Atoms (fractional coordinates):
S 0.597 0.497 0.848
S 0.097 0.503 0.152
S 0.597 0.997 0.152
Sb 0.556 0.492 0.514
Li 0.849 0.749 0.996
Sb 0.056 0.008 0.514
Sb 0.056 0.508 0.486
Sb 0.556 0.992 0.486
S 0.097 0.003 0.848
Li 0.849 0.249 0.004
Li 0.349 0.251 0.004
Li 0.349 0.751 0.996

distance to the lowest polymorph of the same formula = 15 meV/atom
crystal system = orthorhombic
E (MP2020) = -4.2659 eV per atom
calculated volume = 23.61 A^3/atom